# 1
{"formula": "LaGa2Co3", "functional": "PBE-GGA", "state": "optimized geometry", "lattice": [[4.5890, -7.9621, 0.0000], [4.5890, 7.9621, 0.0000], [0.0000, 0.0000, 3.8588]], "species": ["La", "La", "La", "Ga", "Ga", "Ga", "Ga", "Ga", "Ga", "Co", "Co", "Co", "Co", "Co", "Co", "Co", "Co", "Co"], "fractional_positions": [[0.0000, 0.0000, 0.0000], [0.3330, 0.6670, 0.5000], [0.6670, 0.3330, 0.5000], [0.0005, 0.3151, 0.5000], [0.3133, 0.3133, 0.5000], [0.3151, 0.0005, 0.5000], [0.6849, 0.9995, 0.5000], [0.6867, 0.6867, 0.5000], [0.9995, 0.6849, 0.5000], [0.0000, 0.5000, 0.0000], [0.1814, 0.8186, 0.0000], [0.1819, 0.3633, 0.0000], [0.3633, 0.1819, 0.0000], [0.5000, 0.0000, 0.0000], [0.5000, 0.5000, 0.0000], [0.6367, 0.8181, 0.0000], [0.8181, 0.6367, 0.0000], [0.8186, 0.1814, 0.0000]], "spacegroup": "No. 65", "delta_e_f_mev_per_atom": -340.7, "m_tot_mub_per_atom": 0.129, "final_energy_ev_per_cell": -103.08}

# 2
{"formula": "LaGa3Co10", "functional": "PBE-GGA", "state": "optimized geometry", "lattice": [[0.0000, 5.6840, 5.8273], [5.6327, 0.0000, 5.8273], [5.6327, 5.6840, 0.0000]], "species": ["La", "La", "Ga", "Ga", "Ga", "Ga", "Ga", "Ga", "Co", "Co", "Co", "Co", "Co", "Co", "Co", "Co", "Co", "Co", "Co", "Co", "Co", "Co", "Co", "Co", "Co", "Co", "Co", "Co"], "fractional_positions": [[0.0000, 0.0000, 0.5000], [0.5000, 0.5000, 0.0000], [0.0546, 0.6999, 0.9454], [0.3079, 0.9538, 0.0462], [0.4504, 0.8056, 0.5496], [0.6999, 0.0546, 0.3001], [0.8056, 0.4504, 0.1944], [0.9538, 0.3079, 0.6921], [0.0484, 0.8038, 0.1962], [0.0526, 0.4523, 0.3112], [0.1906, 0.9623, 0.8094], [0.1921, 0.3171, 0.0460], [0.1947, 0.5462, 0.4538], [0.2540, 0.2540, 0.7460], [0.3157, 0.5364, 0.6843], [0.3171, 0.1921, 0.4449], [0.4523, 0.0526, 0.1839], [0.4528, 0.6909, 0.3091], [0.5364, 0.3157, 0.4636], [0.5462, 0.1947, 0.8053], [0.5551, 0.9540, 0.6829], [0.6888, 0.8161, 0.9474], [0.6909, 0.4528, 0.5472], [0.7529, 0.7529, 0.2471], [0.8038, 0.0484, 0.9516], [0.8161, 0.6888, 0.5477], [0.9540, 0.5551, 0.8079], [0.9623, 0.1906, 0.0377]], "spacegroup": "No. 42", "delta_e_f_mev_per_atom": -183.6, "m_tot_mub_per_atom": 0.840, "final_energy_ev_per_cell": -175.35}

# 3
{"formula": "LiGa2Co", "functional": "PBE-GGA", "state": "optimized geometry", "lattice": [[0.0000, 2.9461, 2.9461], [2.9461, 0.0000, 2.9461], [2.9461, 2.9461, 0.0000]], "species": ["Li", "Ga", "Ga", "Co"], "fractional_positions": [[0.0000, 0.0000, 0.0000], [0.2500, 0.2500, 0.2500], [0.7500, 0.7500, 0.7500], [0.5000, 0.5000, 0.5000]], "spacegroup": "No. 225", "delta_e_f_mev_per_atom": -297.0, "final_energy_ev_per_cell": -16.26}

# 4
{"formula": "Mg3Ga7Co2", "functional": "PBE-GGA", "state": "optimized geometry", "lattice": [[4.5403, -4.7175, 0.0000], [4.5403, 4.7175, 0.0000], [-0.5750, 0.0000, 9.4142]], "species": ["Mg", "Mg", "Mg", "Mg", "Mg", "Mg", "Ga", "Ga", "Ga", "Ga", "Ga", "Ga", "Ga", "Ga", "Ga", "Ga", "Ga", "Ga", "Ga", "Ga", "Co", "Co", "Co", "Co"], "fractional_positions": [[0.1478, 0.8522, 0.7500], [0.2551, 0.3603, 0.6976], [0.3603, 0.2551, 0.1976], [0.6397, 0.7449, 0.8024], [0.7449, 0.6397, 0.3024], [0.8522, 0.1478, 0.2500], [0.0544, 0.1905, 0.9741], [0.1090, 0.4449, 0.3971], [0.1905, 0.0544, 0.4741], [0.2283, 0.7717, 0.2500], [0.3068, 0.5634, 0.9815], [0.4366, 0.6932, 0.5185], [0.4449, 0.1090, 0.8971], [0.5551, 0.8910, 0.1029], [0.5634, 0.3068, 0.4815], [0.6932, 0.4366, 0.0185], [0.7717, 0.2283, 0.7500], [0.8095, 0.9456, 0.5259], [0.8910, 0.5551, 0.6029], [0.9456, 0.8095, 0.0259], [0.0313, 0.4841, 0.1450], [0.4841, 0.0313, 0.6450], [0.5159, 0.9687, 0.3550], [0.9687, 0.5159, 0.8550]], "spacegroup": "No. 15", "delta_e_f_mev_per_atom": -244.4, "final_energy_ev_per_cell": -86.29}